A.
Computed, not measured: a relaxed LiVF5 crystal at the GGA+U level of DFT.

Calculated values
The magnetic moment comes out at 4.00 Bohr magnetons per cell. For the calculated volume, the calculation gives 411.0 Å³/cell.

Cell: 9.318 5.316 8.297 Å, 90.00 90.00 90.00°
Space group Pnma (No. 62)
Inequivalent atoms, fractional coordinates:
Li 0.018 0.250 0.192
V 0.215 0.250 0.588
F 0.108 0.012 0.695
F 0.137 0.518 0.089
F 0.152 0.250 0.388

***

B.
Computed, not measured: a relaxed LiVF5 crystal at the GGA+U level of DFT.

Calculated values
The magnetic moment comes out at 4.00 Bohr magnetons per cell. For the calculated volume, the calculation gives 422.2 Å³/cell.

Cell: 5.807 9.931 7.321 Å, 90.00 90.23 90.00°
Space group P2_1 (No. 4)
Inequivalent atoms, fractional coordinates:
Li 0.002 0.000 0.092
Li 0.495 0.340 0.447
V 0.015 0.721 0.376
V 0.485 0.325 0.918
F 0.012 0.543 0.367
F 0.024 0.902 0.318
F 0.214 0.215 0.831
F 0.225 0.745 0.566
F 0.226 0.238 0.458
F 0.273 0.445 0.018
F 0.273 0.930 0.995
F 0.290 0.706 0.208
F 0.471 0.413 0.694
F 0.494 0.215 0.110

***

C.
Computed, not measured: a relaxed LiVF5 crystal at the GGA+U level of DFT.

Calculated values
The magnetic moment comes out at 4.00 Bohr magnetons per cell. For the calculated volume, the calculation gives 360.8 Å³/cell.

Cell: 9.050 6.244 6.384 Å, 90.00 90.00 90.00°
Space group Pna2_1 (No. 33)
Inequivalent atoms, fractional coordinates:
Li 0.148 0.044 0.000
V 0.006 0.579 0.221
F 0.004 0.329 0.413
F 0.008 0.873 0.222
F 0.043 0.327 0.028
F 0.194 0.486 0.694
F 0.209 0.566 0.262

***

D.
Computed, not measured: a relaxed LiVF5 crystal at the GGA+U level of DFT.

Calculated values
The magnetic moment comes out at 4.00 Bohr magnetons per cell. For the calculated volume, the calculation gives 406.0 Å³/cell.

Cell: 5.277 6.020 12.779 Å, 90.00 90.00 90.00°
Space group P2_12_12_1 (No. 19)
Inequivalent atoms, fractional coordinates:
Li 0.011 0.134 0.145
V 0.175 0.379 0.590
F 0.034 0.665 0.991
F 0.080 0.605 0.498
F 0.094 0.919 0.828
F 0.129 0.424 0.169
F 0.181 0.859 0.159

***

Most stable one: D, least stable one: A.